Record 1
# Er2Bi2O7

Er2Bi2O7 after structural relaxation (GGA-PBE, the Materials Project database).

abc: 7.3296 7.3296 13.1189
angles: 90.00 90.00 90.00
Last column: nearest neighbours and their distance in Å.
Space group P4_1 (No. 76)
Unique sites:
1 Er 0.1201 0.8494 0.0000 (multiplicity 4)  7 O 2.21-2.44
2 Er 0.3505 0.6230 0.2193 (multiplicity 4)  7 O 2.21-2.46
3 Bi 0.1230 0.3806 0.7072 (multiplicity 4)  4 O 2.18-2.27
4 Bi 0.1245 0.3802 0.0184 (multiplicity 4)  5 O 2.08-2.26
5 O 0.0748 0.4051 0.5232 (multiplicity 4)  1 Bi 2.15, 2 Er 2.36-2.37
6 O 0.0918 0.8198 0.1833 (multiplicity 4)  1 Bi 2.18, 3 Er 2.41-2.43
7 O 0.1083 0.4157 0.1889 (multiplicity 4)  2 Bi 2.26-2.27, 2 Er 2.33-2.37
8 O 0.1132 0.8318 0.8265 (multiplicity 4)  1 Bi 2.12, 2 Er 2.21-2.28
9 O 0.1787 0.3149 0.8675 (multiplicity 4)  2 Bi 2.08-2.20
10 O 0.3183 0.5889 0.0338 (multiplicity 4)  1 Bi 2.10
11 O 0.3238 0.6092 0.3888 (multiplicity 4)  1 Bi 2.20, 2 Er 2.21-2.23

Calculated values
ΔH_f (0 K): -2544 meV per atom
total energy: -6.79 eV/atom


Record 2
# ErBiPd

ErBiPd after structural relaxation (GGA-PBE, the Materials Project database).

abc: 6.6944 6.6944 6.6944
angles: 90.00 90.00 90.00
Last column: nearest neighbours and their distance in Å.
Space group F-43m (No. 216)
Unique sites:
1 Er 0.0000 0.0000 0.0000 (multiplicity 4)  4 Pd 2.90
2 Bi 0.0000 0.0000 0.5000 (multiplicity 4)  4 Pd 2.90
3 Pd 0.2500 0.2500 0.2500 (multiplicity 4)  4 Bi 2.90, 4 Er 2.90

Calculated values
ΔH_f (0 K): -924 meV per atom
total energy: -5.47 eV/atom


Record 3
# ErBiPd

ErBiPd after structural relaxation (GGA-PBE, the Materials Project database).

abc: 6.8605 6.8605 6.8605
angles: 90.00 90.00 90.00
Last column: nearest neighbours and their distance in Å.
Space group F-43m (No. 216)
Unique sites:
1 Er 0.0000 0.0000 0.0000 (multiplicity 4)  4 Bi 2.97
2 Bi 0.2500 0.2500 0.7500 (multiplicity 4)  4 Er 2.97, 4 Pd 2.97
3 Pd 0.0000 0.0000 0.5000 (multiplicity 4)  4 Bi 2.97

Calculated values
ΔH_f (0 K): -478 meV per atom
total energy: -5.02 eV/atom


Record 4
# EuBi2

EuBi2 after structural relaxation (GGA-PBE, the Materials Project database).

abc: 4.8098 17.4893 4.6274
angles: 90.00 90.00 90.00
Last column: nearest neighbours and their distance in Å.
Space group Cmcm (No. 63)
Unique sites:
1 Eu 0.0000 0.1009 0.2500 (multiplicity 4)  10 Bi 3.40-3.74
2 Bi 0.0000 0.2527 0.7500 (multiplicity 4)  4 Bi 3.34, 4 Eu 3.51-3.52
3 Bi 0.0000 0.4375 0.2500 (multiplicity 4)  2 Bi 3.18, 4 Eu 3.40

Calculated values
ΔH_f (0 K): -630 meV per atom
total energy: -6.64 eV/atom


Record 5
# Eu5Bi3

Eu5Bi3 after structural relaxation (GGA-PBE, the Materials Project database).

abc: 9.6341 9.6341 7.2398
angles: 90.00 90.00 120.00
Last column: nearest neighbours and their distance in Å.
Space group P6_3/mcm (No. 193)
Unique sites:
1 Eu 0.0000 0.2518 0.2500 (multiplicity 6)  3 Bi 3.30-3.45
2 Eu 0.3333 0.6667 0.0000 (multiplicity 4)  6 Bi 3.48, 2 Eu 3.62
3 Bi 0.0000 0.3903 0.7500 (multiplicity 6)  7 Eu 3.30-3.48

Calculated values
ΔH_f (0 K): -869 meV per atom
total energy: -8.74 eV/atom


Record 6
# EuBi2

EuBi2 after structural relaxation (GGA-PBE, the Materials Project database).

abc: 4.7546 4.7546 34.0777
angles: 90.00 90.00 90.00
Last column: nearest neighbours and their distance in Å.
Space group I4_1/amd (No. 141, origin choice 2)
Unique sites:
1 Eu 0.0000 0.2500 0.3011 (multiplicity 8)  10 Bi 3.42-3.72
2 Bi 0.0000 0.2500 0.1232 (multiplicity 8)  4 Bi 3.36, 4 Eu 3.42-3.51
3 Bi 0.0000 0.2500 0.7827 (multiplicity 8)  2 Bi 3.26, 4 Eu 3.42

Calculated values
ΔH_f (0 K): -618 meV per atom
total energy: -6.63 eV/atom


What is the total energy in the fourth record? -6.64 eV/atom


Among the records above, which one has the highest ΔH_f (0 K)? number 3


What is the formula in the first record? Er2Bi2O7